[1]
PBE La2CCl, relaxed; formation energy from the elements = -1.184 eV/atom
1.0
-7.002 3.127 -0.559
-7.507 -0.568 -1.560
-7.364 0.420 2.170
La C Cl
2 1 1
Cartesian
-5.055 0.688 0.012 La
-16.818 2.290 0.040 La
-10.936 1.489 0.026 C
0.000 0.000 0.000 Cl

[2]
PBE Ce3PbC, relaxed; total magnetic moment = 3.917 μB per cell; formation energy from the elements = 1.762 eV/atom
1.0
-3.162 0.198 5.079
-4.538 -2.804 -2.716
2.290 -5.285 1.631
Ce Pb C
3 1 1
Cartesian
-1.124 -4.045 -0.542 Ce
-3.850 -1.303 1.182 Ce
-0.436 -2.543 3.355 Ce
-2.705 -3.946 1.997 Pb
0.000 0.000 0.000 C

[3]
PBE LaY3, relaxed; formation energy from the elements = 0.033 eV/atom
1.0
5.124 0.000 0.000
0.000 5.124 0.000
0.000 0.000 5.124
La Y
1 3
Cartesian
0.000 0.000 0.000 La
0.000 2.562 2.562 Y
2.562 0.000 2.562 Y
2.562 2.562 0.000 Y

[4]
PBE Al2O3, relaxed; total magnetic moment = 0.008 μB per cell; formation energy from the elements = -3.197 eV/atom
1.0
10.152 -0.081 -0.074
-0.099 10.429 0.383
-0.079 0.369 9.943
Al O
40 60
Cartesian
5.934 1.616 9.636 Al
9.117 9.906 5.712 Al
4.336 3.342 1.764 Al
1.557 4.201 4.770 Al
8.588 10.001 2.716 Al
3.444 7.379 1.188 Al
1.675 1.090 5.739 Al
2.127 4.807 7.702 Al
2.683 1.632 8.348 Al
4.368 4.480 8.985 Al
4.979 6.199 6.387 Al
1.669 9.141 8.496 Al
6.411 9.248 6.172 Al
9.335 9.638 8.231 Al
5.798 0.866 3.792 Al
7.667 7.179 7.481 Al
9.275 2.695 1.018 Al
7.761 7.265 4.213 Al
2.693 1.564 3.180 Al
4.045 0.126 1.171 Al
10.047 2.036 8.203 Al
4.229 8.426 8.076 Al
5.957 8.651 1.734 Al
0.869 7.473 2.753 Al
0.881 0.345 0.858 Al
4.992 0.974 6.656 Al
9.483 4.938 8.564 Al
5.532 5.937 2.384 Al
6.263 6.566 9.643 Al
9.053 7.754 0.781 Al
7.682 1.832 6.831 Al
4.419 3.639 4.845 Al
2.939 6.479 4.182 Al
3.173 8.987 5.183 Al
7.013 4.123 4.263 Al
9.596 4.887 2.999 Al
1.830 4.753 1.061 Al
9.259 4.384 5.951 Al
8.933 2.052 3.791 Al
6.987 3.709 0.222 Al
0.100 9.159 1.929 O
0.304 4.080 1.774 O
5.287 2.868 0.326 O
10.028 3.575 4.388 O
6.104 4.964 8.753 O
9.064 3.376 7.554 O
3.074 8.404 9.438 O
2.505 0.153 4.401 O
3.657 4.771 0.541 O
0.453 9.846 7.020 O
3.280 0.948 6.821 O
1.140 5.724 3.762 O
7.491 0.783 3.211 O
5.799 10.372 1.289 O
7.794 8.901 1.475 O
1.210 2.095 7.191 O
-0.019 8.573 9.347 O
6.817 7.449 5.770 O
4.523 1.456 2.612 O
5.367 9.723 7.573 O
2.371 0.589 1.703 O
0.935 4.823 6.401 O
6.430 7.328 3.061 O
7.619 2.021 0.255 O
7.853 7.319 9.366 O
2.434 2.584 4.721 O
1.411 10.725 9.449 O
8.602 4.583 9.974 O
5.742 4.760 5.564 O
2.794 8.728 7.029 O
4.047 8.859 2.080 O
2.026 8.042 4.027 O
8.298 5.513 4.433 O
3.868 6.289 2.682 O
9.672 1.145 2.115 O
8.777 0.832 7.971 O
3.108 3.398 8.304 O
6.146 1.840 7.781 O
4.081 7.328 5.332 O
9.346 6.672 2.277 O
5.356 4.066 3.212 O
7.871 2.992 5.405 O
1.760 6.670 1.362 O
6.556 5.155 1.219 O
4.043 1.136 9.431 O
7.485 0.368 5.717 O
8.139 3.477 2.815 O
5.109 9.794 4.977 O
5.322 7.265 0.688 O
8.261 8.810 7.105 O
8.770 5.821 7.169 O
10.005 0.974 4.798 O
5.247 2.036 5.138 O
3.705 5.682 7.647 O
3.206 4.898 5.023 O
2.662 3.241 2.246 O
5.677 7.243 7.897 O
0.269 2.301 9.956 O
1.061 5.158 9.121 O
8.699 8.854 4.267 O

[5]
PBE Gd4Ga2O9, relaxed; total magnetic moment = 111.996 μB per cell; formation energy from the elements = -3.372 eV/atom
1.0
10.794 0.000 0.000
0.000 7.548 0.000
0.000 3.577 10.929
Gd Ga O
16 8 36
Cartesian
6.785 10.211 10.270 Gd
9.405 8.422 4.806 Gd
4.365 8.341 7.618 Gd
9.580 8.355 8.552 Gd
1.032 6.553 2.154 Gd
1.252 6.516 6.456 Gd
6.610 6.566 3.088 Gd
6.649 6.399 9.937 Gd
4.145 4.727 0.992 Gd
4.183 4.559 7.840 Gd
9.542 4.610 4.472 Gd
9.762 4.573 8.774 Gd
1.213 2.771 2.376 Gd
6.429 2.784 3.310 Gd
1.389 2.703 6.123 Gd
4.008 0.915 0.659 Gd
1.887 10.296 9.584 Ga
3.510 8.507 4.120 Ga
7.338 6.619 6.685 Ga
1.941 6.295 9.707 Ga
8.853 4.831 1.221 Ga
3.456 4.506 4.243 Ga
7.284 2.618 6.809 Ga
8.906 0.830 1.344 Ga
0.074 10.125 9.348 O
2.803 9.994 7.979 O
0.027 8.465 6.641 O
7.955 8.401 6.719 O
5.336 8.394 9.777 O
5.322 8.336 3.883 O
2.594 8.206 2.515 O
8.212 8.092 10.447 O
2.851 8.020 5.760 O
2.939 6.716 8.202 O
5.370 6.677 1.176 O
8.236 6.613 1.254 O
0.251 6.541 9.007 O
0.061 6.606 4.313 O
5.647 6.373 7.386 O
7.978 6.303 4.983 O
8.336 6.198 8.191 O
2.546 6.231 0.296 O
8.247 4.895 10.632 O
2.458 4.928 2.738 O
2.815 4.823 5.946 O
5.146 4.752 3.543 O
10.733 4.520 6.616 O
10.543 4.585 1.921 O
2.558 4.513 9.674 O
5.424 4.449 9.752 O
7.855 4.409 2.727 O
7.943 3.106 5.168 O
2.581 3.034 0.481 O
8.199 2.920 8.414 O
5.471 2.789 7.045 O
5.458 2.731 1.152 O
2.839 2.724 4.210 O
10.767 2.660 4.288 O
7.991 1.131 2.949 O
10.719 1.001 1.581 O

[6]
PBE Ba4Ni3Ge20, relaxed; total magnetic moment = 0.000 μB per cell; formation energy from the elements = -0.285 eV/atom
1.0
10.753 0.000 0.000
0.000 10.753 0.000
0.000 0.000 10.753
Ba Ni Ge
8 6 40
Cartesian
0.000 0.000 0.000 Ba
5.377 5.377 5.377 Ba
2.688 5.377 0.000 Ba
8.065 5.377 0.000 Ba
5.377 0.000 2.688 Ba
5.377 0.000 8.065 Ba
0.000 8.065 5.377 Ba
0.000 2.688 5.377 Ba
2.688 0.000 5.377 Ni
8.065 0.000 5.377 Ni
0.000 5.377 2.688 Ni
0.000 5.377 8.065 Ni
5.377 8.065 0.000 Ni
5.377 2.688 0.000 Ni
1.968 1.968 1.968 Ge
7.345 3.409 7.345 Ge
7.345 7.345 3.409 Ge
3.409 7.345 7.345 Ge
8.785 8.785 1.968 Ge
1.968 8.785 8.785 Ge
8.785 1.968 8.785 Ge
3.409 3.409 3.409 Ge
8.785 8.785 8.785 Ge
3.409 7.345 3.409 Ge
3.409 3.409 7.345 Ge
7.345 3.409 3.409 Ge
1.968 1.968 8.785 Ge
8.785 1.968 1.968 Ge
1.968 8.785 1.968 Ge
7.345 7.345 7.345 Ge
0.000 3.472 1.337 Ge
5.377 4.040 8.849 Ge
5.377 6.713 1.904 Ge
6.713 8.849 5.377 Ge
4.040 8.849 5.377 Ge
1.904 5.377 6.713 Ge
8.849 5.377 6.713 Ge
1.337 0.000 3.472 Ge
3.472 1.337 0.000 Ge
7.281 9.417 0.000 Ge
1.337 0.000 7.281 Ge
7.281 1.337 0.000 Ge
9.417 0.000 3.472 Ge
9.417 0.000 7.281 Ge
3.472 9.417 0.000 Ge
0.000 7.281 9.417 Ge
0.000 3.472 9.417 Ge
0.000 7.281 1.337 Ge
8.849 5.377 4.040 Ge
1.904 5.377 4.040 Ge
6.713 1.904 5.377 Ge
4.040 1.904 5.377 Ge
5.377 6.713 8.849 Ge
5.377 4.040 1.904 Ge

[7]
PBE ZnB2H8, relaxed; excess energy over the best structure of this formula in the dataset = 0.000 eV/f.u.; total magnetic moment = 0.000 μB per cell; formation energy from the elements = -0.173 eV/atom; largest piezoelectric modulus = 0.26 C/m2
1.0
-3.509 3.509 6.102
3.509 -3.509 6.102
3.509 3.509 -6.102
Zn B H
2 4 16
Cartesian
0.000 3.509 3.051 Zn
0.000 0.000 0.000 Zn
-1.754 3.087 4.577 B
1.754 3.931 4.577 B
-0.422 1.754 1.526 B
0.422 5.263 1.526 B
1.746 3.158 5.552 H
1.762 0.350 -0.550 H
-1.762 3.859 3.601 H
1.762 3.158 3.601 H
3.158 1.746 6.652 H
0.350 1.762 0.550 H
0.350 1.746 2.501 H
-0.350 5.271 2.501 H
2.726 -2.371 4.413 H
4.291 2.371 4.413 H
-0.783 2.371 4.740 H
4.291 1.137 -1.362 H
1.137 -0.783 1.689 H
5.880 0.783 1.689 H
2.371 -0.783 7.464 H
1.137 4.291 1.362 H

[8]
PBE PdCl2, relaxed; total magnetic moment = 0.001 μB per cell; formation energy from the elements = -0.860 eV/atom
1.0
3.420 0.000 0.000
0.000 4.370 0.000
0.000 0.655 11.857
Pd Cl
2 4
Cartesian
1.710 0.000 0.000 Pd
0.000 2.513 5.929 Pd
1.710 2.675 4.354 Cl
1.710 2.350 7.503 Cl
0.000 4.362 10.418 Cl
0.000 0.664 1.439 Cl

> Which value of formation energy from the elements does entry 5 give?

-3.372 eV/atom